A relaxed MgAg14Pb6O18 crystal, computed with PBE.

Lattice parameters (Å, degrees): 8.818 8.997 9.014 72.23 74.19 73.03
Space group P1 (No. 1)
Unique sites:
Mg: 0.000 0.000 0.000
Ag: 0.078 0.901 0.390
Ag: 0.082 0.389 0.896
Ag: 0.235 0.568 0.569
Ag: 0.343 0.163 0.154
Ag: 0.404 0.725 0.240
Ag: 0.409 0.231 0.732
Ag: 0.494 0.326 0.332
Ag: 0.609 0.892 0.878
Ag: 0.641 0.500 0.471
Ag: 0.737 0.081 0.550
Ag: 0.750 0.558 0.056
Ag: 0.825 0.651 0.630
Ag: 0.921 0.237 0.225
Ag: 0.990 0.782 0.782
Pb: 0.076 0.232 0.561
Pb: 0.079 0.567 0.226
Pb: 0.401 0.901 0.575
Pb: 0.408 0.574 0.898
Pb: 0.717 0.889 0.239
Pb: 0.736 0.245 0.876
O: 0.028 0.201 0.830
O: 0.033 0.833 0.197
O: 0.056 0.503 0.499
O: 0.103 0.297 0.295
O: 0.129 0.964 0.583
O: 0.136 0.579 0.959
O: 0.350 0.171 0.545
O: 0.356 0.540 0.169
O: 0.403 0.839 0.835
O: 0.421 0.631 0.630
O: 0.434 0.918 0.312
O: 0.466 0.297 0.916
O: 0.671 0.889 0.509
O: 0.686 0.506 0.868
O: 0.789 0.148 0.124
O: 0.802 0.266 0.610
O: 0.806 0.966 0.926
O: 0.810 0.609 0.246

## Properties
ΔE to the lowest computed polymorph (eV/atom): 0.011
Formation enthalpy at 0 K (eV per atom): -0.872